P:
Compound: Ba2SrI6
Source: the Materials Project
Functional: PBE
Structure: optimized geometry

The structure in POSCAR format:
```
Ba2SrI6
1.0
10.8763 0.0000 0.0000
0.0000 9.7750 0.0000
-10.3096 0.0000 15.4267
Ba Sr I
8 4 24
Cartesian
-1.4066 0.9921 4.4214
-6.5614 3.8954 12.1347
1.2731 6.9523 1.4065
-3.8817 7.7102 9.1199
4.4484 2.0648 6.3068
-0.7064 2.8227 14.0202
7.1281 5.8796 3.2919
1.9732 8.7829 11.0053
3.9114 1.4696 1.1306
-1.2434 3.4179 8.8439
1.8100 6.3571 6.5828
-3.3448 8.3054 14.2961
-5.7234 1.0909 9.8070
-0.5686 3.7966 2.0936
-8.6306 0.5486 14.2822
-3.4757 4.3389 6.5689
-0.6393 7.2074 4.5155
-5.7941 7.4551 12.2288
-1.7424 0.4269 7.8857
3.4125 4.4606 0.1724
1.9999 0.3944 3.4970
-3.1549 4.4931 11.2103
-4.2535 1.6731 14.0522
0.9013 3.2144 6.3388
-0.3347 6.5605 9.0878
4.8201 8.1019 1.3745
3.7215 5.2819 4.2164
-1.4333 9.3806 11.9297
-2.8458 5.3144 15.2543
2.3090 9.3481 7.5409
6.3607 2.3199 3.1979
1.2059 2.5676 10.9112
4.0424 5.4361 8.8578
9.1972 9.2264 1.1445
1.1352 5.9784 13.3331
6.2900 8.6841 5.6197
```

Calculated values
As for the crystal system: monoclinic. The space group is No. 14. The calculation puts the calculated density at 4.55 g/cm³.

Q:
Compound: Ba2SrI6
Source: the Materials Project
Functional: PBE
Structure: optimized geometry

The structure in POSCAR format:
```
Ba2SrI6
1.0
9.2300 0.0000 0.0000
-4.6150 7.9934 0.0000
0.0000 0.0000 5.0795
Ba Sr I
2 1 6
Cartesian
0.0000 5.3289 0.0000
4.6150 2.6645 0.0000
0.0000 0.0000 2.5397
-1.1581 2.0059 0.0000
-2.7562 4.7738 2.5397
2.3162 0.0000 0.0000
1.8588 3.2196 2.5397
5.5123 0.0000 2.5397
3.4569 5.9875 0.0000
```

Calculated values
As for the crystal system: hexagonal. As for the largest piezoelectric modulus: 0.80 C/m2. The space group is No. 189. The calculation puts the calculated density at 4.98 g/cm³.

R:
Compound: Ba2SrI6
Source: the Materials Project
Functional: PBE
Structure: optimized geometry

The structure in POSCAR format:
```
Ba2SrI6
1.0
7.9945 0.0000 0.0000
0.0000 7.9945 0.0000
0.0000 0.0000 15.6165
Ba Sr I
4 2 12
Cartesian
0.0000 0.0000 2.6013
0.0000 0.0000 13.0152
3.9972 3.9972 5.2069
3.9972 3.9972 10.4096
0.0000 0.0000 7.8083
3.9972 3.9972 0.0000
1.5379 1.5379 5.3146
1.5379 1.5379 10.3020
1.6424 1.6424 0.0000
2.3548 5.6396 7.8083
2.4594 5.5351 2.4937
2.4594 5.5351 13.1228
5.5351 2.4594 2.4937
5.5351 2.4594 13.1228
5.6396 2.3548 7.8083
6.3521 6.3521 0.0000
6.4566 6.4566 5.3146
6.4566 6.4566 10.3020
```

Calculated values
As for the crystal system: tetragonal. The space group is No. 136. The calculation puts the calculated density at 3.74 g/cm³.

Relative energies with respect to the most stable structure, expressed in eV/atom: P 0.020; Q 0.000; R 0.006.

P:
Compound: MnAgN
Source: the Materials Project
Functional: PBE
Structure: optimized geometry

The structure in POSCAR format:
```
MnAgN
1.0
6.0241 -1.6752 0.0000
6.0241 1.6752 0.0000
-1.7627 0.0000 8.4958
Mn Ag N
4 4 4
Cartesian
0.0038 0.0000 3.3784
1.7546 0.0000 5.0978
8.5309 0.0000 3.3981
10.2816 0.0000 5.1174
0.2992 0.0000 7.7094
3.5808 0.0000 7.3177
6.7047 0.0000 1.1782
9.9862 0.0000 0.7864
0.0348 0.0000 5.3252
1.8536 0.0000 3.1144
8.4319 0.0000 5.3814
10.2506 0.0000 3.1706
```

Calculated values
As for the crystal system: monoclinic. The space group is No. 12. The calculation puts the calculated density at 6.85 g/cm³.

Q:
Compound: MnAgN
Source: the Materials Project
Functional: PBE
Structure: optimized geometry

The structure in POSCAR format:
```
MnAgN
1.0
4.8473 0.0000 0.0000
0.0000 1.5484 2.6692
0.0000 -1.5484 2.6692
Mn Ag N
1 1 1
Cartesian
0.0000 0.0000 0.0000
2.4236 0.0000 1.7788
0.0000 0.0000 1.7826
```

Calculated values
As for the crystal system: orthorhombic. The space group is No. 38. The calculation puts the calculated density at 7.33 g/cm³.

Relative energies with respect to the most stable structure, expressed in eV/atom: P 0.000; Q 0.082.

P:
Compound: Y3AlNi8
Source: the Materials Project
Functional: PBE
Structure: optimized geometry

The structure in POSCAR format:
```
Y3AlNi8
1.0
5.0605 0.0000 0.0000
-2.5303 4.3825 0.0000
0.0000 0.0000 16.6403
Y Al Ni
6 2 16
Cartesian
0.0000 2.9217 0.7940
0.0000 2.9217 7.5262
0.0000 2.9217 12.4802
2.5303 1.4608 4.1601
2.5303 1.4608 9.1142
2.5303 1.4608 15.8463
0.0000 2.9217 4.1601
2.5303 1.4608 12.4802
0.0000 0.0000 0.0000
0.0000 0.0000 4.1601
0.0000 0.0000 8.3202
0.0000 0.0000 12.4802
0.0000 1.4182 10.3138
0.0000 1.4182 14.6467
-1.3020 3.6734 10.3138
-1.3020 3.6734 14.6467
1.2282 0.7091 1.9936
1.2282 0.7091 6.3265
1.3020 3.6734 10.3138
1.3020 3.6734 14.6467
3.8323 0.7091 1.9936
3.8323 0.7091 6.3265
2.5303 2.9643 1.9936
2.5303 2.9643 6.3265
```

Calculated values
As for the crystal system: hexagonal. The space group is No. 194. The calculation puts the calculated density at 6.87 g/cm³.

Q:
Compound: Y3AlNi8
Source: the Materials Project
Functional: PBE
Structure: optimized geometry

The structure in POSCAR format:
```
Y3AlNi8
1.0
5.0760 0.0000 0.0000
-2.5380 4.3960 0.0000
0.0000 0.0000 16.5554
Y Al Ni
6 2 16
Cartesian
0.0000 0.0000 4.1389
0.0000 0.0000 12.4166
0.0000 2.9306 0.7824
0.0000 2.9306 7.4954
2.5380 1.4653 9.0601
2.5380 1.4653 15.7731
0.0000 2.9306 4.1389
2.5380 1.4653 12.4166
0.0000 0.0000 0.0000
0.0000 0.0000 8.2777
0.0000 1.5316 10.2336
0.0000 1.5316 14.5996
-1.2116 3.6302 10.2336
-1.2116 3.6302 14.5996
0.0000 2.9306 12.4166
1.3264 0.7658 1.9558
1.3264 0.7658 6.3219
1.2116 3.6302 10.2336
1.2116 3.6302 14.5996
2.5380 1.4653 4.1389
3.7496 0.7658 1.9558
3.7496 0.7658 6.3219
2.5380 2.8644 1.9558
2.5380 2.8644 6.3219
```

Calculated values
As for the crystal system: hexagonal. The space group is No. 194. The calculation puts the calculated density at 6.86 g/cm³.

Relative energies with respect to the most stable structure, expressed in eV/atom: P 0.037; Q 0.000.

P:
Compound: Mg6Si5
Source: the Materials Project
Functional: PBE
Structure: optimized geometry

The structure in POSCAR format:
```
Mg6Si5
1.0
4.1465 0.0000 0.0000
-0.0949 6.8618 0.0000
-1.4795 -2.2440 14.9481
Mg Si
12 10
Cartesian
0.0000 0.0000 0.0000
-0.1398 3.2479 1.0919
0.0348 5.5176 3.1571
0.0854 1.6993 3.6062
0.2803 0.2049 8.0940
0.2358 3.7502 9.1375
0.3426 1.1789 11.5120
0.3518 4.6098 12.5075
2.1354 0.5625 1.9775
2.1569 3.6891 4.4225
2.1784 0.1557 5.3362
2.4050 -0.9861 10.3301
0.1183 5.0143 5.9528
0.1748 2.4054 6.1413
0.4439 -0.2106 14.5452
0.4397 2.5978 14.7549
2.2611 2.5924 7.4012
2.2336 5.1321 7.5017
2.3645 1.5702 9.5325
2.4020 3.2956 11.1250
2.4550 -0.1519 13.0901
2.4837 2.3774 13.3318
```

Calculated values
As for the crystal system: triclinic. The space group is No. 1. The calculation puts the calculated density at 2.24 g/cm³.

Q:
Compound: Mg6Si5
Source: the Materials Project
Functional: PBE
Structure: optimized geometry

The structure in POSCAR format:
```
Mg6Si5
1.0
4.6793 0.0000 0.0000
-0.8035 6.6544 0.0000
-0.5436 -2.2409 14.1584
Mg Si
12 10
Cartesian
0.0000 0.0000 0.0000
-0.9348 1.1915 14.0345
0.8816 4.6596 6.8484
1.2780 -0.4112 12.4901
1.9510 1.7751 1.4714
1.3618 2.7307 12.6914
2.0619 4.8742 1.7134
3.3503 2.6821 5.2543
3.1470 3.4258 8.6136
3.3497 5.7983 5.0226
3.9604 -0.0086 7.9750
3.7667 1.2815 10.9841
-0.3686 3.0739 2.5129
-0.0659 3.9782 10.8780
0.9079 2.1277 7.4146
0.9474 4.2482 4.1613
1.7290 0.0726 3.6104
1.4456 1.1644 9.6255
1.8519 0.5064 5.9797
1.9102 -1.2055 9.4243
3.3639 -1.6633 11.3959
4.2105 0.6332 2.7403
```

Calculated values
As for the crystal system: triclinic. The space group is No. 1. The calculation puts the calculated density at 2.16 g/cm³.

R:
Compound: Mg6Si5
Source: the Materials Project
Functional: PBE
Structure: optimized geometry

The structure in POSCAR format:
```
Mg6Si5
1.0
3.9782 0.0000 0.0000
-0.0643 6.9352 0.0000
-1.8825 -3.0951 15.4935
Mg Si
12 10
Cartesian
0.0000 0.0000 0.0000
-0.0150 3.1840 0.4799
-0.0658 5.5780 2.6425
0.0092 2.5195 3.7895
0.0070 3.8255 8.6530
0.0731 -1.6720 13.6447
0.0649 1.8503 14.5489
2.0019 1.2694 1.7396
1.9919 2.5376 6.4047
2.0450 -0.9705 7.4751
2.0153 1.6420 9.8006
2.0694 -1.7700 10.9454
0.0410 0.1845 5.6190
-0.0204 4.5947 5.8810
0.0151 1.2065 7.8316
0.0762 -0.5021 9.4534
0.0333 3.0558 11.4293
0.0453 0.5325 11.6453
1.9740 4.5107 4.3128
2.0321 0.2106 4.2212
2.0110 3.0314 12.9259
2.0244 0.3969 13.0843
```

Calculated values
As for the crystal system: triclinic. The space group is No. 1. The calculation puts the calculated density at 2.22 g/cm³.

Relative energies with respect to the most stable structure, expressed in eV/atom: P 0.012; Q 0.018; R 0.000.

P:
Compound: MgSi2
Source: the Materials Project
Functional: PBE
Structure: optimized geometry

The structure in POSCAR format:
```
MgSi2
1.0
3.7161 0.0000 0.0000
-1.8581 3.2183 0.0000
0.0000 0.0000 4.8442
Mg Si
1 2
Cartesian
0.0000 0.0000 0.0000
0.0000 2.1455 1.9205
1.8581 1.0728 2.9236
```

Calculated values
As for the crystal system: trigonal. The space group is No. 164. The calculation puts the calculated density at 2.31 g/cm³.

Q:
Compound: MgSi2
Source: the Materials Project
Functional: PBE
Structure: optimized geometry

The structure in POSCAR format:
```
MgSi2
1.0
3.5044 0.0000 0.0000
1.7032 4.8544 0.0000
1.7209 1.4386 11.9789
Mg Si
4 8
Cartesian
0.0000 0.0000 0.0000
1.6867 2.0781 9.0198
1.7357 1.0950 2.2560
3.4856 2.0796 4.4875
3.4544 3.6296 11.6295
3.4334 4.2850 8.1992
3.4596 4.7433 5.0158
3.4655 3.1627 1.5353
3.4398 0.9008 6.9217
5.2085 4.6596 10.1737
5.2511 3.2818 6.4950
5.2102 3.9615 3.2114
```

Calculated values
As for the crystal system: triclinic. The space group is No. 1. The calculation puts the calculated density at 2.62 g/cm³.

Relative energies with respect to the most stable structure, expressed in eV/atom: P 0.000; Q 0.129.

P:
Compound: MgSi2
Source: the Materials Project
Functional: PBE
Structure: optimized geometry

The structure in POSCAR format:
```
MgSi2
1.0
4.6065 -1.9478 0.0000
4.6065 1.9478 0.0000
-3.3416 0.0000 11.0179
Mg Si
4 8
Cartesian
0.0000 0.0000 0.0000
-1.6708 0.0000 5.5090
0.2380 0.0000 9.0817
5.6336 0.0000 1.9362
-0.8143 0.0000 2.8738
2.7331 0.0000 0.8487
1.1003 0.0000 6.4409
2.0543 0.0000 3.6815
3.8173 0.0000 7.3364
4.7712 0.0000 4.5770
3.1384 0.0000 10.1692
6.6859 0.0000 8.1441
```

Calculated values
As for the crystal system: monoclinic. The space group is No. 12. The calculation puts the calculated density at 2.70 g/cm³.

Q:
Compound: MgSi2
Source: the Materials Project
Functional: PBE
Structure: optimized geometry

The structure in POSCAR format:
```
MgSi2
1.0
9.8331 -1.7946 0.0000
9.8331 1.7946 0.0000
-0.1212 0.0000 5.8597
Mg Si
4 8
Cartesian
0.0000 0.0000 0.0000
7.7374 0.0000 1.4070
11.4312 0.0000 4.1791
14.8655 0.0000 1.3395
3.0310 0.0000 0.0936
3.1175 0.0000 2.5918
5.8327 0.0000 3.4345
8.3961 0.0000 4.1328
11.5216 0.0000 1.4033
14.2870 0.0000 4.4146
16.7088 0.0000 5.1757
19.4367 0.0000 2.7977
```

Calculated values
As for the crystal system: monoclinic. The space group is No. 8. The calculation puts the calculated density at 2.58 g/cm³.

R:
Compound: MgSi2
Source: the Materials Project
Functional: PBE
Structure: optimized geometry

The structure in POSCAR format:
```
MgSi2
1.0
9.4475 0.0000 0.0000
0.0000 6.0238 0.0000
0.0000 0.0000 7.3791
Mg Si
8 16
Cartesian
0.9658 1.5060 1.5122
1.3090 4.5179 0.8356
3.4147 1.5060 4.5252
3.7579 4.5179 5.2018
5.6896 1.5060 2.1773
6.0328 4.5179 2.8539
8.1385 1.5060 6.5434
8.4817 4.5179 5.8669
1.2289 3.3271 3.6935
1.2289 5.7086 3.6935
1.3015 0.2912 6.0666
1.3015 2.7207 6.0666
3.4223 3.3031 2.3771
3.4223 5.7326 2.3771
3.4949 0.3152 0.0040
3.4949 2.6967 0.0040
5.9526 3.3271 7.3751
5.9526 5.7086 7.3751
6.0252 0.2912 5.0020
6.0252 2.7207 5.0020
8.1461 3.3031 1.3125
8.1461 5.7326 1.3125
8.2187 0.3152 3.6855
8.2187 2.6967 3.6855
```

Calculated values
As for the crystal system: orthorhombic. The space group is No. 62. The calculation puts the calculated density at 2.55 g/cm³.

Relative energies with respect to the most stable structure, expressed in eV/atom: P 0.145; Q 0.099; R 0.000.